Crystalline Cr2CuS4 at its relaxed geometry, computed with r2SCAN.

Values from the calculation:
SG: Fd-3m
Spin magnetization, Bohr magnetons per cell: 10.20

Unit cell a=6.9529 b=6.9529 c=6.9529 alpha=60.00 beta=60.00 gamma=60.00
Positions (direct):
Cu 0.7500 0.7500 0.7500
Cu 0.5000 0.5000 0.5000
S 0.3678 0.3678 0.3678
S 0.8822 0.8822 0.8822
S 0.3535 0.8822 0.8822
S 0.8965 0.3678 0.3678
S 0.3678 0.8965 0.3678
S 0.3678 0.3678 0.8965
S 0.8822 0.3535 0.8822
S 0.8822 0.8822 0.3535
Cr 0.1250 0.1250 0.6250
Cr 0.6250 0.1250 0.1250
Cr 0.1250 0.6250 0.1250
Cr 0.1250 0.1250 0.1250

---

Crystalline CeSi2Ni at its relaxed geometry, computed with r2SCAN.

Values from the calculation:
SG: Cmcm
Spin magnetization, Bohr magnetons per cell: 1.01

Unit cell a=4.0339 b=4.1086 c=8.4080 alpha=104.14 beta=90.00 gamma=90.00
Positions (direct):
Ni 0.2500 0.6809 0.3617
Ni 0.7500 0.3191 0.6383
Ce 0.7500 0.1066 0.2133
Ce 0.2500 0.8934 0.7867
Si 0.7500 0.7506 0.5012
Si 0.2500 0.5402 0.0805
Si 0.2500 0.2494 0.4988
Si 0.7500 0.4598 0.9195

---

Crystalline UMnFe at its relaxed geometry, computed with r2SCAN.

Values from the calculation:
SG: Imma
Spin magnetization, Bohr magnetons per cell: 4.26

Unit cell a=5.1197 b=5.1197 c=5.1197 alpha=90.87 beta=58.57 gamma=119.58
Positions (direct):
U 0.0000 0.9978 0.0022
U 0.5000 0.7522 0.7478
Mn 0.2500 0.8750 0.3750
Mn 0.7500 0.3750 0.3750
Fe 0.7500 0.3750 0.8750
Fe 0.2500 0.3750 0.3750

---

Crystalline Te10Rh7 at its relaxed geometry, computed with r2SCAN.

Values from the calculation:
SG: P-1
Spin magnetization, Bohr magnetons per cell: 0.00

Unit cell a=8.8365 b=8.9719 c=10.5102 alpha=76.19 beta=74.37 gamma=79.03
Positions (direct):
Rh 0.6009 0.5995 0.6034
Rh 0.5443 0.0684 0.7947
Rh 0.1372 0.6691 0.3869
Rh 0.9390 0.4733 0.1972
Rh 0.7533 0.2584 0.9925
Rh 0.4557 0.9316 0.2053
Rh 0.3991 0.4005 0.3966
Rh 0.1977 0.2001 0.1968
Rh 0.8628 0.3309 0.6131
Rh 0.6564 0.1338 0.4146
Rh 0.3436 0.8662 0.5854
Rh 0.8023 0.7999 0.8032
Rh 0.0610 0.5267 0.8028
Rh 0.2467 0.7416 0.0075
Te 0.0154 0.2474 0.8042
Te 0.9846 0.7526 0.1958
Te 0.8130 0.0560 0.6021
Te 0.5046 0.7725 0.7949
Te 0.0989 0.8297 0.8028
Te 0.3883 0.1432 0.6008
Te 0.3070 0.5687 0.5918
Te 0.4065 0.6571 0.1971
Te 0.1870 0.9440 0.3979
Te 0.6930 0.4313 0.4082
Te 0.2958 0.0306 0.0045
Te 0.1035 0.3700 0.3939
Te 0.7042 0.9694 0.9955
Te 0.5935 0.3429 0.8029
Te 0.7958 0.5396 0.9981
Te 0.9011 0.1703 0.1972
Te 0.8965 0.6300 0.6061
Te 0.2042 0.4604 0.0019
Te 0.4954 0.2275 0.2051
Te 0.6117 0.8568 0.3992

---

no.,E (Ry/atom),E_form (eV/atom),V (A^3/atom)
1,-0.8318,-0.870,17.0
2,-1.1710,-0.840,16.9
3,-2.6747,-0.044,15.7
4,-1.8616,-0.438,22.7